Record 1
This record from Materials Project describes an optimized crystal structure of NiH6C2N2O4. The functional is PBE+U.

Cell: 6.7452 10.3850 8.9670 Å, 88.93 90.00 90.01°
Closest atoms and distances in Å follow each position.
Positions (direct):
1 Ni 0.2385 0.9998 0.7500  2 N 2.09-2.10, 4 O 2.10-2.15
2 Ni 0.2620 0.5000 0.7500  2 N 2.10, 4 O 2.10-2.15
3 Ni 0.7381 0.5002 0.2503  2 N 2.09-2.10, 4 O 2.10-2.15
4 Ni 0.7617 0.0000 0.2497  2 N 2.09, 4 O 2.10-2.15
5 H 0.3647 0.7935 0.8905  1 N 1.03
6 H 0.8647 0.2936 0.3905  1 N 1.03
7 H 0.8645 0.7064 0.1095  1 N 1.03
8 H 0.3645 0.2062 0.6095  1 N 1.03
9 H 0.6353 0.2065 0.1095  1 N 1.03
10 H 0.1354 0.7064 0.6095  1 N 1.03
11 H 0.1354 0.2936 0.8905  1 N 1.03
12 H 0.6354 0.7937 0.3904  1 N 1.03
13 H 0.0016 0.3097 0.2434  1 N 1.03
14 H 0.5019 0.8094 0.7435  1 N 1.03
15 H 0.0017 0.6905 0.2566  1 N 1.03
16 H 0.5018 0.1904 0.7565  1 N 1.03
17 H 0.9983 0.6904 0.7565  1 N 1.03
18 H 0.4982 0.1905 0.2565  1 N 1.03
19 H 0.9983 0.3096 0.7435  1 N 1.03
20 H 0.4983 0.8097 0.2434  1 N 1.03
21 H 0.0561 0.3905 0.3940  1 N 1.03
22 H 0.5561 0.8904 0.8940  1 N 1.03
23 H 0.0559 0.6095 0.1060  1 N 1.03
24 H 0.5562 0.1096 0.6059  1 N 1.03
25 H 0.9440 0.6094 0.6060  1 N 1.03
26 H 0.4439 0.1096 0.1059  1 N 1.03
27 H 0.9440 0.3904 0.8941  1 N 1.03
28 H 0.4439 0.8906 0.3939  1 N 1.03
29 C 0.9415 0.9413 0.9702  2 O 1.26-1.27
30 C 0.4415 0.4413 0.4704  2 O 1.26-1.27
31 C 0.4415 0.5587 0.0298  2 O 1.26-1.27
32 C 0.9416 0.0587 0.5297  2 O 1.26-1.27
33 C 0.0585 0.0587 0.0296  2 O 1.26-1.27
34 C 0.5584 0.5587 0.5298  2 O 1.26-1.27
35 C 0.5585 0.4413 0.9703  2 O 1.26-1.27
36 C 0.0585 0.9413 0.4702  2 O 1.26-1.27
37 N 0.9404 0.3614 0.3282  3 H 1.03
38 N 0.4406 0.8612 0.8282  3 H 1.03
39 N 0.9404 0.6387 0.1719  3 H 1.03
40 N 0.4406 0.1386 0.6717  3 H 1.03
41 N 0.0595 0.6386 0.6718  3 H 1.03
42 N 0.5594 0.1387 0.1718  3 H 1.03
43 N 0.0595 0.3613 0.8283  3 H 1.03
44 N 0.5595 0.8614 0.3281  3 H 1.03
45 O 0.5020 0.3910 0.3516  1 C 1.26
46 O 0.0021 0.8909 0.8515  1 C 1.26
47 O 0.5019 0.6091 0.1486  1 C 1.26
48 O 0.0022 0.1090 0.6485  1 C 1.26
49 O 0.4980 0.6091 0.6485  1 C 1.26
50 O 0.9979 0.1091 0.1483  1 C 1.26
51 O 0.4980 0.3909 0.8516  1 C 1.26
52 O 0.9980 0.8910 0.3514  1 C 1.26
53 O 0.7918 0.9043 0.0463  1 C 1.27
54 O 0.2918 0.4042 0.5466  1 C 1.27
55 O 0.2919 0.5958 0.9536  1 C 1.27
56 O 0.7920 0.0958 0.4535  1 C 1.27
57 O 0.2083 0.0957 0.9535  1 C 1.27
58 O 0.7081 0.5958 0.4536  1 C 1.27
59 O 0.7081 0.4042 0.0466  1 C 1.27
60 O 0.2081 0.9041 0.5464  1 C 1.27

Record 2
This record from Materials Project describes an optimized crystal structure of KCoO2. The functional is PBE+U.

Cell: 6.5037 7.0709 6.8766 Å, 60.97 61.80 76.70°
Closest atoms and distances in Å follow each position.
Positions (direct):
1 K 0.5002 0.7414 0.6289  8 O 2.81-3.09
2 K 0.0002 0.7414 0.6289  8 O 2.81-3.09
3 K 0.9998 0.2586 0.3711  8 O 2.81-3.09
4 K 0.4998 0.2586 0.3711  8 O 2.81-3.09
5 Co 0.9997 0.2108 0.8950  4 O 1.86-1.90
6 Co 0.5003 0.7892 0.1050  4 O 1.86-1.90
7 Co 0.4997 0.2108 0.8950  4 O 1.86-1.90
8 Co 0.0003 0.7892 0.1050  4 O 1.86-1.90
9 O 0.3856 0.0000 0.2283  2 Co 1.90
10 O 0.8856 0.0000 0.2283  2 Co 1.90
11 O 0.1144 0.0000 0.7717  2 Co 1.90
12 O 0.6144 0.0000 0.7717  2 Co 1.90
13 O 0.2503 0.6446 0.1773  2 Co 1.86
14 O 0.7503 0.6446 0.1774  2 Co 1.86
15 O 0.2497 0.3554 0.8227  2 Co 1.86
16 O 0.7497 0.3554 0.8227  2 Co 1.86

Record 3
This record from Materials Project describes an optimized crystal structure of Li7Mn5O12. The functional is PBE+U.

Cell: 5.2402 6.0205 7.6778 Å, 98.60 97.14 109.90°
Closest atoms and distances in Å follow each position.
Positions (direct):
1 Li 0.4997 0.7522 0.0041  5 O 2.02-2.21
2 Li 0.5031 0.0768 0.3386  5 O 2.09-2.26
3 Li 0.4930 0.4060 0.6588  6 O 2.08-2.25
4 Li 0.5003 0.2478 0.9959  5 O 2.02-2.21
5 Li 0.5070 0.5940 0.3412  6 O 2.08-2.25
6 Li 0.4969 0.9232 0.6614  5 O 2.09-2.26
7 Li 0.0000 0.0000 0.5000  6 O 2.07-2.22
8 Mn 0.0040 0.8318 0.8304  4 O 1.93-2.02
9 Mn 0.0000 0.5000 0.5000  6 O 1.95-1.96
10 Mn 0.9960 0.1682 0.1696  4 O 1.93-2.02
11 Mn 0.0017 0.3239 0.8270  6 O 1.94-2.17
12 Mn 0.9983 0.6761 0.1730  6 O 1.94-2.17
13 O 0.7846 0.5517 0.9246  3 Mn 1.98-2.17, 1 Li 2.12
14 O 0.7717 0.8803 0.2389  2 Mn 1.93-2.03, 3 Li 2.02-2.14
15 O 0.7654 0.2278 0.5882  2 Mn 1.96, 3 Li 2.09-2.13
16 O 0.7644 0.0625 0.9201  2 Mn 1.94-2.02, 3 Li 2.13-2.16
17 O 0.7639 0.4045 0.2640  2 Mn 1.95-1.96, 1 Li 2.12
18 O 0.7901 0.6930 0.5894  2 Mn 1.94-1.96, 3 Li 2.07-2.13
19 O 0.2356 0.9375 0.0799  2 Mn 1.94-2.02, 3 Li 2.13-2.16
20 O 0.2099 0.3070 0.4106  2 Mn 1.94-1.96, 3 Li 2.07-2.13
21 O 0.2361 0.5955 0.7360  2 Mn 1.95-1.96, 1 Li 2.12
22 O 0.2154 0.4483 0.0754  3 Mn 1.98-2.17, 1 Li 2.12
23 O 0.2346 0.7722 0.4118  2 Mn 1.96, 3 Li 2.09-2.13
24 O 0.2283 0.1197 0.7611  2 Mn 1.93-2.03, 3 Li 2.02-2.14

## Properties
ΔE to the lowest computed polymorph ... 22 meV/atom

Record 4
This record from Materials Project describes an optimized crystal structure of Li9Mn2Co5O16. The functional is PBE+U.

Cell: 5.9324 6.5679 7.7349 Å, 89.68 100.03 103.89°
Closest atoms and distances in Å follow each position.
Positions (direct):
1 Li 0.4954 0.9991 0.0012  6 O 2.03-2.21
2 Li 0.2540 0.7574 0.2580  6 O 2.06-2.27
3 Li 0.8773 0.3691 0.1323  6 O 2.09-2.22
4 Li 0.6335 0.1296 0.3837  6 O 2.12-2.35
5 Li 0.9961 0.4894 0.4921  6 O 2.07-2.30
6 Li 0.3722 0.8784 0.6166  6 O 2.08-2.27
7 Li 0.1259 0.6262 0.8726  6 O 2.08-2.23
8 Li 0.7516 0.2533 0.7483  6 O 2.03-2.21
9 Li 0.1253 0.1256 0.3741  6 O 2.10-2.14
10 Mn 0.0036 0.9987 0.0008  6 O 1.90-2.01
11 Mn 0.6244 0.6253 0.8759  6 O 1.93-1.98
12 Co 0.7489 0.7543 0.2536  6 O 1.93-2.10
13 Co 0.4979 0.4959 0.4997  6 O 1.94-2.08
14 Co 0.2437 0.2499 0.7395  6 O 1.95-2.14
15 Co 0.8855 0.8774 0.6125  4 O 1.85-2.07
16 Co 0.3665 0.3715 0.1331  6 O 1.88-2.08
17 O 0.1725 0.9478 0.8156  1 Mn 1.96, 2 Co 2.03-2.07, 2 Li 2.12-2.14
18 O 0.9219 0.6986 0.0497  2 Mn 1.97-1.98, 1 Co 2.10, 1 Li 2.10
19 O 0.5521 0.3350 0.9393  1 Mn 1.93, 2 Co 2.05-2.14
20 O 0.2888 0.0592 0.1688  1 Mn 1.90, 1 Co 2.02, 3 Li 2.03-2.10
21 O 0.6801 0.4497 0.3080  3 Co 2.00-2.06, 3 Li 2.09-2.15
22 O 0.0450 0.8055 0.4452  2 Co 1.85-2.05, 1 Li 2.07
23 O 0.7938 0.5695 0.6968  1 Mn 1.93, 2 Co 2.08-2.10, 2 Li 2.08-2.14
24 O 0.4380 0.2074 0.5708  2 Co 1.94-1.95, 4 Li 2.07-2.14
25 O 0.8192 0.0395 0.1766  1 Co 1.93, 1 Mn 1.94, 3 Li 2.11-2.14
26 O 0.5703 0.8042 0.4408  3 Co 2.01-2.05, 3 Li 2.08-2.14
27 O 0.2089 0.4424 0.3056  2 Co 1.88-2.03, 1 Li 2.06
28 O 0.9460 0.1845 0.5744  2 Co 1.95-1.99, 4 Li 2.03-2.12
29 O 0.3353 0.5646 0.6998  1 Mn 1.95, 2 Co 2.04-2.07, 2 Li 2.08-2.13
30 O 0.7069 0.9220 0.8194  2 Mn 1.96-2.01, 1 Co 2.12, 1 Li 2.18
31 O 0.4546 0.6796 0.0548  1 Mn 1.93, 2 Co 2.08, 2 Li 2.10-2.15
32 O 0.0648 0.2894 0.9406  1 Mn 1.93, 2 Co 2.08, 2 Li 2.13-2.14

## Properties
ΔE to the lowest computed polymorph ... 36 meV/atom

Record 5
This record from Materials Project describes an optimized crystal structure of NdCoAsO. The functional is PBE+U.

Cell: 4.0657 4.0657 8.0663 Å, 90.00 90.00 90.00°
Closest atoms and distances in Å follow each position.
Positions (direct):
1 Nd 0.0000 0.5000 0.8548  4 O 2.35
2 Nd 0.5000 0.0000 0.1452  4 O 2.35
3 Co 0.5000 0.5000 0.5000  4 As 2.31
4 Co 0.0000 0.0000 0.5000  4 As 2.31
5 As 0.0000 0.5000 0.3640  4 Co 2.31
6 As 0.5000 0.0000 0.6360  4 Co 2.31
7 O 0.5000 0.5000 0.0000  4 Nd 2.35
8 O 0.0000 0.0000 0.0000  4 Nd 2.35

Record 6
This record from Materials Project describes an optimized crystal structure of Li9Mn2Co5O16. The functional is PBE+U.

Cell: 10.6339 10.6339 10.2414 Å, 67.12 67.12 15.67°
Closest atoms and distances in Å follow each position.
Positions (direct):
1 Li 0.6229 0.6229 0.8147  6 O 2.07-2.17
2 Li 0.8827 0.8827 0.4292  6 O 2.07-2.26
3 Li 0.1153 0.1153 0.0805  3 O 2.01-2.13
4 Li 0.1229 0.1229 0.5682  6 O 2.11-2.33
5 Li 0.3816 0.3816 0.1886  4 O 1.96-2.17
6 Li 0.6199 0.6199 0.3178  4 O 1.97-2.14
7 Li 0.8765 0.8765 0.9328  6 O 2.06-2.16
8 Li 0.3797 0.3797 0.6750  5 O 1.99-2.15
9 Li 0.4979 0.4979 0.2514  6 O 2.07-2.14
10 Mn 0.9982 0.9982 0.0083  6 O 1.85-2.05
11 Mn 0.2505 0.2505 0.1238  6 O 1.94-1.97
12 Co 0.2490 0.2490 0.6279  6 O 2.00-2.12
13 Co 0.7478 0.7478 0.8710  6 O 1.98-2.19
14 Co 0.0044 0.0044 0.4779  3 O 1.82-1.97
15 Co 0.4991 0.4991 0.7453  6 O 1.97-2.13
16 Co 0.7521 0.7521 0.3758  6 O 1.94-2.17
17 O 0.5555 0.5555 0.0264  2 Mn 1.94, 4 Li 2.07-2.14
18 O 0.8078 0.8078 0.6585  3 Co 2.01-2.04, 2 Li 2.15
19 O 0.0624 0.0624 0.2915  1 Co 1.82, 3 Li 1.97-2.01
20 O 0.0535 0.0535 0.7926  2 Co 2.02, 1 Mn 2.05, 3 Li 2.13-2.19
21 O 0.3063 0.3063 0.4057  3 Co 1.94-2.12, 1 Li 2.17
22 O 0.5578 0.5578 0.5360  3 Co 2.01-2.06, 3 Li 2.10-2.11
23 O 0.8065 0.8065 0.1466  2 Mn 1.94, 1 Li 2.11, 1 Co 2.17
24 O 0.3034 0.3034 0.9205  1 Mn 1.94, 2 Co 2.05, 2 Li 2.15
25 O 0.6922 0.6922 0.5926  3 Co 2.00-2.08, 3 Li 2.14-2.17
26 O 0.9418 0.9418 0.1999  1 Mn 1.85, 4 Li 1.96-2.07
27 O 0.1897 0.1897 0.8449  3 Co 1.98-2.08, 2 Li 2.13
28 O 0.2012 0.2012 0.3324  2 Co 1.96, 1 Mn 1.97
29 O 0.4440 0.4440 0.9696  2 Mn 1.98, 3 Li 2.11-2.16, 1 Co 2.13
30 O 0.6933 0.6933 0.1026  2 Mn 1.95, 1 Li 2.14
31 O 0.9415 0.9415 0.7213  2 Co 1.97, 3 Li 2.06-2.12
32 O 0.4426 0.4426 0.4705  2 Co 1.97, 4 Li 1.99-2.08

## Properties
ΔE to the lowest computed polymorph ... 50 meV/atom

Energy (eV per cell)
-359.5, -84.0, -153.2, -186.2, -51.6, -185.7